Entry 1:
This record from Materials Project describes a geometry-optimized Zr7Cu10 structure. The functional is r²SCAN.

Cell lengths 9.3098, 7.8566, 7.8566 Å; angles 72.37, 90.00, 90.00 degrees
Fractional positions:
Zr (0.1932, 0.2562, 0.6360)
Cu (0.4916, 0.3893, 0.7959)
Cu (0.9915, 0.0031, 0.5964)
Cu (0.2964, 0.6110, 0.5733)
Zr (0.7500, 0.9311, 0.4610)
Cu (0.0084, 0.8893, 0.2959)
Cu (0.6026, 0.8399, 0.0525)
Cu (0.2036, 0.1110, 0.0733)
Cu (0.5084, 0.7959, 0.3893)
Cu (0.7964, 0.0733, 0.1110)
Zr (0.2500, 0.4610, 0.9311)
Zr (0.5000, 0.4461, 0.4461)
Zr (0.2500, 0.9610, 0.4311)
Zr (0.0000, 0.2574, 0.2574)
Cu (0.7036, 0.5733, 0.6110)
Cu (0.2964, 0.3188, 0.2814)
Cu (0.7964, 0.7814, 0.8188)
Cu (0.2036, 0.8188, 0.7814)
Zr (0.6932, 0.1360, 0.7562)
Cu (0.1026, 0.5525, 0.3399)
Zr (0.0000, 0.6349, 0.6349)
Cu (0.9916, 0.2959, 0.8893)
Cu (0.7036, 0.2814, 0.3188)
Zr (0.5000, 0.1349, 0.1349)
Zr (0.8068, 0.6360, 0.2562)
Cu (0.5085, 0.5031, 0.0964)
Zr (0.3068, 0.7562, 0.1360)
Cu (0.8974, 0.3399, 0.5525)
Zr (0.0000, 0.9461, 0.9461)
Zr (0.5000, 0.7574, 0.7574)
Cu (0.4915, 0.0964, 0.5031)
Cu (0.3974, 0.0525, 0.8399)
Zr (0.7500, 0.4311, 0.9610)
Cu (0.0085, 0.5964, 0.0031)

Computed properties:
E_form: -0.186 eV/atom
total DFT energy (no corrections): -15.93 eV per atom


Entry 2:
This record from Materials Project describes a geometry-optimized ZrCu2 structure. The functional is r²SCAN.

Cell lengths 4.8326, 4.8326, 4.6075 Å; angles 90.00, 90.00, 122.08 degrees
Fractional positions:
Zr (0.2340, 0.2340, 0.7500)
Cu (0.1043, 0.4660, 0.2500)
Cu (0.4660, 0.1043, 0.2500)
Cu (0.5340, 0.8957, 0.7500)
Cu (0.8957, 0.5340, 0.7500)
Zr (0.7660, 0.7660, 0.2500)

Computed properties:
E_form: -0.119 eV/atom
total DFT energy (no corrections): -14.93 eV per atom


Entry 3:
This record from Materials Project describes a geometry-optimized DyEr3 structure. The functional is r²SCAN.

Cell lengths 7.1999, 7.2000, 5.5299 Å; angles 90.00, 90.00, 120.00 degrees
Fractional positions:
Er (0.1662, 0.3325, 0.2500)
Er (0.8338, 0.1662, 0.7500)
Er (0.6675, 0.8338, 0.2500)
Er (0.1662, 0.8338, 0.2500)
Dy (0.6667, 0.3333, 0.2500)
Dy (0.3333, 0.6667, 0.7500)
Er (0.8338, 0.6675, 0.7500)
Er (0.3325, 0.1662, 0.7500)

Computed properties:
E_form: 0.012 eV/atom
total DFT energy (no corrections): -33.43 eV per atom


Entry 4:
This record from Materials Project describes a geometry-optimized DyErZn2 structure. The functional is r²SCAN.

Cell lengths 4.9916, 4.9916, 4.9916 Å; angles 60.00, 60.00, 60.00 degrees
Fractional positions:
Zn (0.7500, 0.7500, 0.7500)
Dy (0.5000, 0.5000, 0.5000)
Zn (0.2500, 0.2500, 0.2500)
Er (0.0000, 0.0000, 0.0000)

Computed properties:
E_form: -0.385 eV/atom
total DFT energy (no corrections): -21.32 eV per atom


Entry 5:
This record from Materials Project describes a geometry-optimized SrEuDyMnO6 structure. The functional is r²SCAN.

Cell lengths 5.6898, 5.6898, 5.6898 Å; angles 60.00, 60.00, 60.00 degrees
Fractional positions:
Sr (0.2500, 0.2500, 0.2500)
O (0.7316, 0.7316, 0.2684)
Eu (0.7500, 0.7500, 0.7500)
O (0.2684, 0.7316, 0.7316)
O (0.2684, 0.7316, 0.2684)
O (0.7316, 0.2684, 0.7316)
Mn (0.5000, 0.5000, 0.5000)
O (0.2684, 0.2684, 0.7316)
O (0.7316, 0.2684, 0.2684)
Dy (0.0000, 0.0000, 0.0000)

Computed properties:
E_form: -2.929 eV/atom
total DFT energy (no corrections): -16.55 eV per atom


Entry 6:
This record from Materials Project describes a geometry-optimized EuDy2S4 structure. The functional is r²SCAN.

Cell lengths 3.9670, 11.8765, 14.2542 Å; angles 90.00, 90.00, 90.00 degrees
Fractional positions:
Eu (0.2500, 0.7560, 0.3389)
Dy (0.7500, 0.0705, 0.8899)
S (0.2500, 0.5206, 0.2158)
S (0.7500, 0.2910, 0.3212)
S (0.7500, 0.7910, 0.1788)
S (0.2500, 0.4143, 0.5800)
Eu (0.2500, 0.2560, 0.1611)
S (0.2500, 0.9143, 0.9200)
S (0.2500, 0.7090, 0.6788)
S (0.2500, 0.0206, 0.2842)
S (0.2500, 0.2090, 0.8212)
S (0.7500, 0.3668, 0.0272)
S (0.2500, 0.6332, 0.9728)
S (0.7500, 0.4794, 0.7842)
S (0.2500, 0.1332, 0.5272)
S (0.7500, 0.8668, 0.4728)
Dy (0.7500, 0.5803, 0.1011)
Eu (0.7500, 0.2440, 0.6611)
Dy (0.7500, 0.5705, 0.6101)
Dy (0.2500, 0.4295, 0.3899)
Dy (0.2500, 0.4197, 0.8989)
Dy (0.2500, 0.9295, 0.1101)
Dy (0.2500, 0.9197, 0.6011)
S (0.7500, 0.9794, 0.7158)
Eu (0.7500, 0.7440, 0.8389)
S (0.7500, 0.5857, 0.4200)
Dy (0.7500, 0.0803, 0.3989)
S (0.7500, 0.0857, 0.0800)

Computed properties:
E_form: -2.435 eV/atom
total DFT energy (no corrections): -21.67 eV per atom


Entry 7:
This record from Materials Project describes a geometry-optimized EuDy2Se4 structure. The functional is r²SCAN.

Cell lengths 4.1150, 12.4862, 14.8632 Å; angles 90.00, 90.00, 90.00 degrees
Fractional positions:
Se (0.2500, 0.7073, 0.6764)
Eu (0.7500, 0.7421, 0.8359)
Se (0.7500, 0.0897, 0.0787)
Dy (0.2500, 0.9180, 0.5985)
Se (0.2500, 0.9103, 0.9213)
Se (0.2500, 0.4103, 0.5787)
Dy (0.7500, 0.0658, 0.8891)
Dy (0.2500, 0.4180, 0.9015)
Se (0.2500, 0.0242, 0.2844)
Eu (0.2500, 0.2579, 0.1641)
Se (0.7500, 0.2927, 0.3236)
Se (0.2500, 0.2073, 0.8236)
Se (0.7500, 0.3677, 0.0301)
Dy (0.7500, 0.0820, 0.4015)
Se (0.2500, 0.5242, 0.2156)
Dy (0.2500, 0.4342, 0.3891)
Dy (0.7500, 0.5658, 0.6109)
Se (0.7500, 0.7927, 0.1764)
Se (0.2500, 0.1323, 0.5301)
Eu (0.7500, 0.2421, 0.6641)
Se (0.2500, 0.6323, 0.9699)
Se (0.7500, 0.9758, 0.7156)
Dy (0.2500, 0.9342, 0.1109)
Se (0.7500, 0.5897, 0.4213)
Se (0.7500, 0.8677, 0.4699)
Se (0.7500, 0.4758, 0.7844)
Eu (0.2500, 0.7579, 0.3359)
Dy (0.7500, 0.5820, 0.0985)

Computed properties:
E_form: -2.251 eV/atom
total DFT energy (no corrections): -25.07 eV per atom


Entry 8:
This record from Materials Project describes a geometry-optimized KDy3F10 structure. The functional is r²SCAN.

Cell lengths 8.1399, 8.1399, 8.1399 Å; angles 60.00, 60.00, 60.00 degrees
Fractional positions:
F (0.3363, 0.8879, 0.8879)
F (0.1680, 0.5000, 0.8320)
F (0.1121, 0.6637, 0.1121)
K (0.2500, 0.2500, 0.2500)
Dy (0.7600, 0.2400, 0.7600)
Dy (0.2400, 0.2400, 0.7600)
F (0.1680, 0.8320, 0.5000)
F (0.5000, 0.5000, 0.8320)
F (0.8879, 0.3363, 0.8879)
F (0.5000, 0.5000, 0.1680)
F (0.5000, 0.8320, 0.1680)
F (0.1121, 0.1121, 0.6637)
F (0.5000, 0.1680, 0.8320)
F (0.8879, 0.8879, 0.3363)
F (0.6637, 0.1121, 0.1121)
F (0.5000, 0.1680, 0.5000)
F (0.8320, 0.1680, 0.5000)
Dy (0.7600, 0.2400, 0.2400)
F (0.5000, 0.8320, 0.5000)
F (0.1680, 0.5000, 0.5000)
F (0.8320, 0.5000, 0.5000)
Dy (0.7600, 0.7600, 0.2400)
F (0.8320, 0.5000, 0.1680)
F (0.1121, 0.1121, 0.1121)
K (0.7500, 0.7500, 0.7500)
Dy (0.2400, 0.7600, 0.2400)
F (0.8879, 0.8879, 0.8879)
Dy (0.2400, 0.7600, 0.7600)

Computed properties:
E_form: -4.309 eV/atom
total DFT energy (no corrections): -13.82 eV per atom


Entry 9:
This record from Materials Project describes a geometry-optimized K3DyF6 structure. The functional is r²SCAN.

Cell lengths 6.5683, 6.2666, 10.7902 Å; angles 55.93, 90.00, 90.00 degrees
Fractional positions:
K (0.5586, 0.2748, 0.7448)
F (0.7283, 0.7587, 0.0736)
F (0.7717, 0.7587, 0.5736)
K (0.4414, 0.7252, 0.2552)
K (0.0586, 0.7252, 0.7552)
F (0.1753, 0.6662, 0.0515)
F (0.2717, 0.2413, 0.9264)
F (0.9392, 0.1056, 0.7743)
F (0.6753, 0.3338, 0.4485)
Dy (0.0000, 0.0000, 0.0000)
F (0.0608, 0.8944, 0.2257)
K (0.9414, 0.2748, 0.2448)
F (0.8247, 0.3338, 0.9485)
Dy (0.5000, 0.0000, 0.5000)
K (0.0000, 0.5000, 0.5000)
F (0.2283, 0.2413, 0.4264)
K (0.5000, 0.5000, 0.0000)
F (0.4392, 0.8944, 0.7257)
F (0.3247, 0.6662, 0.5515)
F (0.5608, 0.1056, 0.2743)

Computed properties:
E_form: -3.571 eV/atom
total DFT energy (no corrections): -10.45 eV per atom


Entry 10:
This record from Materials Project describes a geometry-optimized KLiDyF5 structure. The functional is r²SCAN.

Cell lengths 6.4349, 6.2628, 11.6612 Å; angles 90.00, 90.00, 113.58 degrees
Fractional positions:
F (0.5366, 0.5346, 0.3941)
F (0.7108, 0.2189, 0.3249)
F (0.0436, 0.8247, 0.0073)
F (0.3344, 0.0491, 0.4675)
Li (0.4410, 0.5388, 0.2446)
Li (0.4410, 0.0388, 0.2554)
F (0.3344, 0.5491, 0.0325)
F (0.7108, 0.7189, 0.1751)
F (0.5366, 0.0346, 0.1059)
F (0.4634, 0.4654, 0.6059)
F (0.4634, 0.9654, 0.8941)
Dy (0.6823, 0.3203, 0.5029)
F (0.9564, 0.6753, 0.5073)
K (0.9471, 0.4625, 0.1510)
K (0.0529, 0.0375, 0.6510)
F (0.6656, 0.4509, 0.9675)
F (0.2892, 0.2811, 0.8249)
Dy (0.3177, 0.6797, 0.4971)
Dy (0.6823, 0.8203, 0.9971)
F (0.0436, 0.3247, 0.4927)
F (0.2892, 0.7811, 0.6751)
Dy (0.3177, 0.1797, 0.0029)
K (0.0529, 0.5375, 0.8490)
F (0.2791, 0.7230, 0.3031)
Li (0.5590, 0.4612, 0.7554)
F (0.7209, 0.7770, 0.8031)
F (0.6656, 0.9509, 0.5325)
Li (0.5590, 0.9612, 0.7446)
K (0.9471, 0.9625, 0.3490)
F (0.7209, 0.2770, 0.6969)
F (0.9564, 0.1753, 0.9927)
F (0.2791, 0.2230, 0.1969)

Computed properties:
E_form: -3.819 eV/atom
total DFT energy (no corrections): -10.82 eV per atom


Entry 11:
This record from Materials Project describes a geometry-optimized DyPtF7 structure. The functional is r²SCAN.

Cell lengths 5.4351, 8.7691, 11.8509 Å; angles 62.34, 90.00, 90.00 degrees
Fractional positions:
Dy (0.7612, 0.8135, 0.7646)
F (0.9589, 0.7243, 0.6344)
F (0.5411, 0.7243, 0.1344)
Pt (0.7574, 0.2717, 0.9572)
F (0.0960, 0.9649, 0.7318)
F (0.5566, 0.2549, 0.3232)
Pt (0.2426, 0.7283, 0.0428)
Dy (0.7388, 0.8135, 0.2646)
F (0.0566, 0.7451, 0.1768)
Dy (0.2612, 0.1865, 0.7354)
F (0.4589, 0.2757, 0.8656)
F (0.9040, 0.0351, 0.2682)
F (0.0411, 0.2757, 0.3656)
F (0.4040, 0.9649, 0.2318)
F (0.9367, 0.7233, 0.9586)
F (0.9357, 0.2946, 0.5867)
F (0.2455, 0.9780, 0.9492)
Pt (0.2574, 0.7283, 0.5428)
Pt (0.7426, 0.2717, 0.4572)
F (0.2545, 0.9780, 0.4492)
F (0.5960, 0.0351, 0.7682)
F (0.5633, 0.7233, 0.4586)
F (0.5643, 0.2946, 0.0867)
F (0.2273, 0.4788, 0.1410)
F (0.7545, 0.0220, 0.0508)
F (0.4434, 0.7451, 0.6768)
Dy (0.2388, 0.1865, 0.2354)
F (0.0633, 0.2767, 0.0414)
F (0.0643, 0.7054, 0.4133)
F (0.4357, 0.7054, 0.9133)
F (0.7273, 0.5212, 0.3590)
F (0.2727, 0.4788, 0.6410)
F (0.7727, 0.5212, 0.8590)
F (0.7455, 0.0220, 0.5508)
F (0.9434, 0.2549, 0.8232)
F (0.4367, 0.2767, 0.5414)

Computed properties:
E_form: -2.817 eV/atom
total DFT energy (no corrections): -14.52 eV per atom


Entry 12:
This record from Materials Project describes a geometry-optimized Rb3DyF6 structure. The functional is r²SCAN.

Cell lengths 6.8788, 6.8788, 6.8788 Å; angles 119.19, 119.19, 91.41 degrees
Fractional positions:
F (0.0000, 0.6916, 0.6916)
Dy (0.0000, 0.0000, 0.0000)
Rb (0.5000, 0.5000, 0.0000)
F (0.7710, 0.7710, 0.0000)
F (0.3084, 0.0000, 0.3084)
Rb (0.2500, 0.7500, 0.5000)
F (0.0000, 0.3084, 0.3084)
F (0.6916, 0.0000, 0.6916)
F (0.2290, 0.2290, 0.0000)
Rb (0.7500, 0.2500, 0.5000)

Computed properties:
E_form: -3.449 eV/atom
total DFT energy (no corrections): -12.70 eV per atom


Entry 13:
This record from Materials Project describes a geometry-optimized Rb3DyF6 structure. The functional is r²SCAN.

Cell lengths 6.7537, 6.7537, 6.7537 Å; angles 60.00, 60.00, 60.00 degrees
Fractional positions:
Rb (0.7500, 0.7500, 0.7500)
F (0.7742, 0.7742, 0.2258)
F (0.7742, 0.2258, 0.2258)
F (0.2258, 0.7742, 0.7742)
Rb (0.2500, 0.2500, 0.2500)
F (0.2258, 0.2258, 0.7742)
Dy (0.0000, 0.0000, 0.0000)
F (0.2258, 0.7742, 0.2258)
Rb (0.5000, 0.5000, 0.5000)
F (0.7742, 0.2258, 0.7742)

Computed properties:
E_form: -3.494 eV/atom
total DFT energy (no corrections): -12.75 eV per atom


Entry 14:
This record from Materials Project describes a geometry-optimized DyZrF7 structure. The functional is r²SCAN.

Cell lengths 5.6932, 6.0221, 8.1862 Å; angles 102.56, 90.00, 90.00 degrees
Fractional positions:
F (0.9919, 0.4564, 0.7885)
F (0.2031, 0.1341, 0.5228)
F (0.9311, 0.0729, 0.2304)
F (0.7031, 0.8659, 0.4772)
Dy (0.6985, 0.6546, 0.6862)
Zr (0.7078, 0.8122, 0.2255)
F (0.4919, 0.5436, 0.2115)
F (0.0018, 0.6202, 0.2167)
F (0.6977, 0.7561, 0.9752)
F (0.4311, 0.9271, 0.7696)
F (0.8932, 0.4579, 0.4762)
F (0.5018, 0.3798, 0.7833)
F (0.3932, 0.5421, 0.5238)
Zr (0.2078, 0.1878, 0.7745)
F (0.9512, 0.9511, 0.7591)
F (0.1977, 0.2439, 0.0248)
Dy (0.1985, 0.3454, 0.3138)
F (0.4512, 0.0489, 0.2409)

Computed properties:
E_form: -4.215 eV/atom
total DFT energy (no corrections): -12.73 eV per atom


Entry 15:
This record from Materials Project describes a geometry-optimized DyFe3 structure. The functional is r²SCAN.

Cell lengths 5.1640, 5.1639, 8.6323 Å; angles 72.58, 72.60, 60.00 degrees
Fractional positions:
Fe (0.4205, 0.9174, 0.2416)
Fe (0.5000, 0.5000, 0.4999)
Fe (0.0826, 0.5796, 0.7584)
Fe (0.3328, 0.3328, 0.0017)
Fe (0.4205, 0.4204, 0.2416)
Dy (0.0000, 0.0000, 0.0000)
Fe (0.5795, 0.0826, 0.7584)
Dy (0.8579, 0.8579, 0.4263)
Fe (0.5795, 0.5796, 0.7584)
Dy (0.1421, 0.1421, 0.5736)
Fe (0.6672, 0.6672, 0.9985)
Fe (0.9174, 0.4204, 0.2416)

Computed properties:
E_form: -0.002 eV/atom
total DFT energy (no corrections): -18.81 eV per atom


Entry 16:
This record from Materials Project describes a geometry-optimized DyFe2 structure. The functional is r²SCAN.

Cell lengths 5.1672, 5.1672, 5.1672 Å; angles 60.00, 60.00, 60.00 degrees
Fractional positions:
Fe (0.6250, 0.6250, 0.6250)
Fe (0.6250, 0.1250, 0.6250)
Fe (0.6250, 0.6250, 0.1250)
Dy (0.0000, 0.0000, 0.0000)
Fe (0.1250, 0.6250, 0.6250)
Dy (0.2500, 0.2500, 0.2500)

Computed properties:
E_form: 0.014 eV/atom
total DFT energy (no corrections): -20.26 eV per atom